# 1
K4SrSi3O9 | r²SCAN | optimized geometry

Properties
* energy: -9.794 eV/atom
* mass density: 3.0 g/cm³

Lattice parameters (Å, degrees): 7.165 7.165 10.999 90.00 90.00 112.64
Element x y z (fractional)
K: 0.342 0.765 0.750
K: 0.945 0.055 0.000
K: 0.501 0.499 0.000
K: 0.235 0.658 0.250
K: 0.219 0.228 0.750
K: 0.501 0.499 0.500
K: 0.772 0.781 0.250
K: 0.945 0.055 0.500
Sr: 0.725 0.255 0.750
Sr: 0.745 0.275 0.250
Si: 0.409 0.980 0.031
Si: 0.020 0.591 0.969
Si: 0.020 0.591 0.531
Si: 0.260 0.189 0.250
Si: 0.811 0.740 0.750
Si: 0.409 0.980 0.469
O: 0.946 0.729 0.871
O: 0.027 0.400 0.603
O: 0.887 0.553 0.090
O: 0.271 0.054 0.129
O: 0.271 0.054 0.371
O: 0.260 0.740 0.000
O: 0.447 0.113 0.590
O: 0.447 0.113 0.910
O: 0.599 0.548 0.750
O: 0.260 0.740 0.500
O: 0.600 0.973 0.103
O: 0.043 0.201 0.250
O: 0.799 0.957 0.750
O: 0.452 0.401 0.250
O: 0.887 0.553 0.410
O: 0.027 0.400 0.897
O: 0.600 0.973 0.397
O: 0.946 0.729 0.629


# 2
Ca3Er3Ge2BO13 | r²SCAN | optimized geometry

Properties
* energy: -13.889 eV/atom
* mass density: 5.8 g/cm³

Lattice parameters (Å, degrees): 7.338 7.347 10.392 90.00 90.00 90.00
Element x y z (fractional)
Ca: 0.729 0.770 0.502
Ca: 0.000 0.500 0.231
Ca: 0.771 0.270 0.002
Ca: 0.500 0.000 0.731
Ca: 0.229 0.730 0.002
Ca: 0.271 0.230 0.502
Er: 0.228 0.273 0.002
Er: 0.728 0.227 0.502
Er: 0.500 0.000 0.275
Er: 0.272 0.773 0.502
Er: 0.772 0.727 0.002
Er: 0.000 0.500 0.775
Ge: 0.500 0.500 0.247
Ge: 0.000 0.000 0.747
Ge: 0.500 0.500 0.746
Ge: 0.000 0.000 0.246
B: 0.500 0.000 0.004
B: 0.000 0.500 0.504
O: 0.000 0.500 0.991
O: 0.009 0.199 0.846
O: 0.500 0.000 0.491
O: 0.804 0.009 0.648
O: 0.991 0.801 0.846
O: 0.491 0.699 0.346
O: 0.835 0.493 0.425
O: 0.304 0.491 0.148
O: 0.696 0.509 0.148
O: 0.509 0.301 0.346
O: 0.494 0.163 0.089
O: 0.665 0.993 0.925
O: 0.335 0.007 0.925
O: 0.196 0.991 0.648
O: 0.804 0.015 0.343
O: 0.506 0.837 0.089
O: 0.484 0.693 0.648
O: 0.006 0.663 0.589
O: 0.696 0.515 0.843
O: 0.165 0.507 0.425
O: 0.304 0.485 0.843
O: 0.994 0.337 0.589
O: 0.516 0.307 0.648
O: 0.016 0.193 0.148
O: 0.196 0.985 0.343
O: 0.984 0.807 0.148